# 1
The following is a DFT calculation (GGA+U) of a relaxed structure of Li7Mn4CoO12.

Calculated values
Total moment = 18.01 μB/cell
V = 9.344 Å³/atom
Formation energy = -1989 meV per atom
Distance to the lowest polymorph of the same formula = 95.4 meV per atom

Cell lengths 2.8755, 5.3600, 14.5697 Å; angles 87.06, 90.00, 90.00 degrees
Closest atoms and distances in Å follow each position.
Sites, in units of the cell vectors:
1 Li 0.5000 0.0000 0.5000  6 O 2.16-2.18
2 Li 0.5000 0.3515 0.8442  5 O 2.01-2.22
3 Li 0.5000 0.6485 0.1558  5 O 2.01-2.22
4 Li 0.0000 0.5000 0.5000  6 O 2.17-2.19
5 Li 0.0000 0.8360 0.8434  5 O 2.10-2.26
6 Li 0.0000 0.1640 0.1566  5 O 2.10-2.26
7 Li 0.5000 0.0000 0.0000  6 O 2.10-2.21
8 Mn 0.0000 0.8294 0.3296  4 O 1.97
9 Mn 0.0000 0.1706 0.6704  4 O 1.97
10 Mn 0.5000 0.3299 0.3317  4 O 1.95-1.97
11 Mn 0.5000 0.6701 0.6683  4 O 1.95-1.97
12 Co 0.0000 0.5000 0.0000  6 O 1.84-1.94
13 O 0.5000 0.6894 0.4088  2 Mn 1.97, 3 Li 2.17-2.18
14 O 0.5000 0.0227 0.7477  2 Mn 1.97
15 O 0.5000 0.3506 0.0739  2 Co 1.94, 3 Li 2.04-2.10
16 O 0.0000 0.1859 0.4100  2 Mn 1.97, 3 Li 2.16-2.19
17 O 0.0000 0.5253 0.7443  2 Mn 1.95
18 O 0.0000 0.7777 0.0697  1 Co 1.84, 2 Li 2.01
19 O 0.5000 0.3106 0.5912  2 Mn 1.97, 3 Li 2.17-2.18
20 O 0.5000 0.6494 0.9261  2 Co 1.94, 3 Li 2.04-2.10
21 O 0.5000 0.9773 0.2523  2 Mn 1.97
22 O 0.0000 0.8141 0.5900  2 Mn 1.97, 3 Li 2.16-2.19
23 O 0.0000 0.2223 0.9303  1 Co 1.84, 2 Li 2.01
24 O 0.0000 0.4747 0.2557  2 Mn 1.95



# 2
The following is a DFT calculation (GGA+U) of a relaxed structure of Li7Mn4CoO12.

Calculated values
Total moment = 27.85 μB/cell
V = 9.107 Å³/atom
Formation energy = -2038 meV per atom
Distance to the lowest polymorph of the same formula = 46.4 meV per atom

Cell lengths 2.9698, 7.6680, 19.7623 Å; angles 99.86, 87.47, 81.29 degrees
Closest atoms and distances in Å follow each position.
Sites, in units of the cell vectors:
1 Li 0.3332 0.3333 0.0000  6 O 2.05-2.22
2 Li 0.8335 0.8333 0.5000  6 O 2.05-2.22
3 Li 0.7687 0.3061 0.1205  4 O 2.04-2.20
4 Li 0.2698 0.8066 0.6207  4 O 2.04-2.18
5 Li 0.3980 0.8605 0.3795  4 O 2.04-2.20
6 Li 0.8968 0.3601 0.8793  4 O 2.04-2.18
7 Li 0.0289 0.5532 0.3778  6 O 2.02-2.23
8 Li 0.5244 0.0543 0.8773  6 O 2.03-2.21
9 Li 0.1377 0.6135 0.1222  6 O 2.02-2.23
10 Li 0.6423 0.1124 0.6227  6 O 2.03-2.21
11 Li 0.4634 0.9599 0.1266  5 O 2.04-2.19
12 Li 0.9631 0.4611 0.6267  5 O 2.04-2.20
13 Li 0.7033 0.2068 0.3734  5 O 2.04-2.19
14 Li 0.2036 0.7056 0.8733  5 O 2.04-2.20
15 Mn 0.5060 0.5081 0.4981  5 O 1.82-2.01
16 Mn 0.0051 0.0082 0.9979  5 O 1.81-2.02
17 Mn 0.6607 0.6584 0.0018  5 O 1.81-2.02
18 Mn 0.1615 0.1585 0.5021  5 O 1.81-2.02
19 Mn 0.2389 0.2512 0.2488  4 O 1.95-1.97
20 Mn 0.7459 0.7523 0.7487  4 O 1.94-1.98
21 Mn 0.9277 0.9155 0.2512  4 O 1.95-1.97
22 Mn 0.4208 0.4144 0.7513  4 O 1.94-1.98
23 Co 0.0833 0.0833 0.7500  4 O 1.90-1.97
24 Co 0.5833 0.5833 0.2500  6 O 1.94-2.12
25 O 0.4439 0.1202 0.0538  2 Mn 1.95, 3 Li 2.04-2.14
26 O 0.9443 0.6204 0.5539  2 Mn 1.95, 3 Li 2.04-2.15
27 O 0.7228 0.0464 0.4462  2 Mn 1.95, 3 Li 2.04-2.14
28 O 0.2224 0.5462 0.9461  2 Mn 1.95, 3 Li 2.04-2.14
29 O 0.5975 0.4018 0.3074  1 Co 1.94, 1 Mn 1.96, 1 Li 2.14
30 O 0.1034 0.9047 0.8060  1 Co 1.90, 1 Mn 1.95
31 O 0.5692 0.7649 0.1926  1 Co 1.94, 1 Mn 1.96, 1 Li 2.14
32 O 0.0633 0.2620 0.6940  1 Co 1.90, 1 Mn 1.95
33 O 0.7118 0.4957 0.0589  1 Mn 1.81, 1 Li 2.02
34 O 0.2148 0.9951 0.5589  1 Mn 1.81, 1 Li 2.03
35 O 0.4548 0.6710 0.4411  1 Mn 1.82, 1 Li 2.02
36 O 0.9519 0.1715 0.9411  1 Mn 1.81, 1 Li 2.03
37 O 0.9930 0.7323 0.3090  1 Mn 1.95, 2 Co 2.06-2.12, 2 Li 2.09-2.10
38 O 0.4524 0.2317 0.8089  1 Mn 1.94, 1 Co 1.97, 3 Li 2.07-2.18
39 O 0.1736 0.4344 0.1910  1 Mn 1.95, 2 Co 2.06-2.12, 2 Li 2.09-2.10
40 O 0.7143 0.9350 0.6911  1 Mn 1.94, 1 Co 1.97, 3 Li 2.07-2.18
41 O 0.0837 0.8024 0.0528  3 Mn 1.99-2.05, 2 Li 2.15-2.19
42 O 0.5838 0.3023 0.5531  3 Mn 1.99-2.05, 2 Li 2.16-2.20
43 O 0.0830 0.3642 0.4473  3 Mn 1.99-2.05, 2 Li 2.15-2.19
44 O 0.5829 0.8643 0.9469  3 Mn 1.99-2.05, 2 Li 2.16-2.20
45 O 0.2764 0.0710 0.3095  2 Mn 1.96-1.97, 2 Li 2.09-2.10
46 O 0.7715 0.5721 0.8096  2 Mn 1.97-1.98, 2 Li 2.08-2.09
47 O 0.8902 0.0957 0.1905  2 Mn 1.96-1.97, 2 Li 2.09-2.10
48 O 0.3952 0.5946 0.6904  2 Mn 1.97-1.98, 2 Li 2.08-2.09



# 3
The following is a DFT calculation (GGA+U) of a relaxed structure of Li7Mn2Co3O12.

Calculated values
Total moment = 6.00 μB/cell
V = 8.937 Å³/atom
Formation energy = -1896 meV per atom
Distance to the lowest polymorph of the same formula = 37.6 meV per atom

Cell lengths 5.0468, 5.1536, 8.7196 Å; angles 73.44, 85.76, 80.80 degrees
Closest atoms and distances in Å follow each position.
Sites, in units of the cell vectors:
1 Li 0.7595 0.2460 0.7397  5 O 2.05-2.21
2 Li 0.2492 0.0841 0.9156  6 O 2.01-2.23
3 Li 0.2393 0.4186 0.5763  5 O 2.05-2.25
4 Li 0.7607 0.5814 0.4237  5 O 2.05-2.25
5 Li 0.2405 0.7540 0.2603  5 O 2.05-2.21
6 Li 0.7508 0.9159 0.0844  6 O 2.01-2.23
7 Li 0.0000 0.0000 0.5000  6 O 2.09-2.16
8 Mn 0.9977 0.6687 0.8301  6 O 1.88-2.00
9 Mn 0.0023 0.3313 0.1699  6 O 1.88-2.00
10 Co 0.5000 0.5000 0.0000  6 O 1.92-2.06
11 Co 0.5106 0.1666 0.3425  4 O 1.86-2.08
12 Co 0.4894 0.8334 0.6575  4 O 1.86-2.08
13 O 0.1271 0.0023 0.7227  1 Mn 1.90, 3 Li 2.01-2.09, 1 Co 2.01
14 O 0.6426 0.8513 0.8683  1 Mn 1.94, 2 Co 2.06-2.08, 1 Li 2.13
15 O 0.6025 0.2037 0.5365  2 Co 1.86-2.05, 2 Li 2.05-2.07
16 O 0.1227 0.3770 0.3580  1 Mn 1.88, 2 Li 2.05-2.09, 1 Co 2.10
17 O 0.6415 0.5237 0.1933  2 Co 1.92-2.10, 1 Mn 1.96, 1 Li 2.12
18 O 0.1226 0.6807 0.0384  2 Mn 1.99-2.00, 1 Co 2.03, 3 Li 2.14-2.22
19 O 0.3585 0.4763 0.8067  2 Co 1.92-2.10, 1 Mn 1.96, 1 Li 2.12
20 O 0.8774 0.3193 0.9616  2 Mn 1.99-2.00, 1 Co 2.03, 3 Li 2.14-2.22
21 O 0.8773 0.6230 0.6420  1 Mn 1.88, 2 Li 2.05-2.09, 1 Co 2.10
22 O 0.3975 0.7963 0.4635  2 Co 1.86-2.05, 2 Li 2.05-2.07
23 O 0.8729 0.9977 0.2773  1 Mn 1.90, 3 Li 2.01-2.09, 1 Co 2.01
24 O 0.3574 0.1487 0.1317  1 Mn 1.94, 2 Co 2.06-2.08, 1 Li 2.13



# 4
The following is a DFT calculation (GGA+U) of a relaxed structure of Li7Mn4CoO12.

Calculated values
Total moment = 16.00 μB/cell
V = 9.054 Å³/atom
Formation energy = -2061 meV per atom
Distance to the lowest polymorph of the same formula = 23.3 meV per atom

Cell lengths 5.2519, 5.9466, 7.7480 Å; angles 76.35, 75.13, 70.38 degrees
Closest atoms and distances in Å follow each position.
Sites, in units of the cell vectors:
1 Li 0.0097 0.4944 0.9959  6 O 2.09-2.22
2 Li 0.9948 0.8362 0.6703  6 O 2.08-2.17
3 Li 0.5032 0.3340 0.1653  5 O 2.13-2.16
4 Li 0.4998 0.6654 0.8304  4 O 2.08-2.15
5 Li 0.9955 0.1698 0.3331  6 O 2.05-2.19
6 Li 0.4967 0.0006 0.5041  5 O 2.12-2.17
7 Li 0.5003 0.1679 0.8318  6 O 2.04-2.24
8 Mn 0.0006 0.0009 0.9983  6 O 1.93-1.97
9 Mn 0.9994 0.3343 0.6663  6 O 1.94-1.98
10 Mn 0.0001 0.6653 0.3348  4 O 1.95-2.00
11 Mn 0.4997 0.8353 0.1649  4 O 1.94-1.97
12 Co 0.4997 0.4967 0.5036  4 O 1.89-1.94
13 O 0.2268 0.6761 0.0839  2 Mn 1.96-2.00, 3 Li 2.11-2.13
14 O 0.2183 0.0132 0.7561  2 Mn 1.93-1.94, 3 Li 2.12-2.15
15 O 0.7209 0.5128 0.2614  1 Co 1.94, 1 Mn 1.96, 2 Li 2.11-2.15
16 O 0.7624 0.8492 0.9372  2 Mn 1.94-1.97, 3 Li 2.06-2.12
17 O 0.2225 0.3423 0.4229  2 Mn 1.95, 3 Li 2.12-2.16
18 O 0.7565 0.2033 0.5861  1 Co 1.90, 1 Mn 1.98, 2 Li 2.04-2.05
19 O 0.7817 0.3218 0.9097  2 Mn 1.94, 3 Li 2.12-2.14
20 O 0.7738 0.6570 0.5830  2 Mn 1.95-1.98, 3 Li 2.08-2.13
21 O 0.2376 0.1356 0.0797  2 Mn 1.94-1.97, 3 Li 2.06-2.11
22 O 0.2449 0.4833 0.7255  1 Co 1.89, 1 Mn 1.98, 2 Li 2.04-2.08
23 O 0.7775 0.9897 0.2439  2 Mn 1.96, 3 Li 2.12-2.17
24 O 0.2780 0.8149 0.4117  1 Co 1.94, 1 Mn 1.97, 2 Li 2.17



# 5
The following is a DFT calculation (GGA+U) of a relaxed structure of Li5Mn2CoO8.

Calculated values
Total moment = 4.00 μB/cell
V = 8.765 Å³/atom
Formation energy = -2013 meV per atom
Distance to the lowest polymorph of the same formula = 21.5 meV per atom

Cell lengths 2.8888, 19.9654, 5.0802 Å; angles 92.20, 73.95, 86.22 degrees
Closest atoms and distances in Å follow each position.
Sites, in units of the cell vectors:
1 Li 0.1150 0.3775 0.3771  6 O 2.08-2.13
2 Li 0.6351 0.8725 0.8729  6 O 2.08-2.13
3 Li 0.6921 0.0597 0.5720  6 O 2.03-2.24
4 Li 0.1813 0.5640 0.0690  6 O 2.03-2.17
5 Li 0.0579 0.1904 0.6782  6 O 2.03-2.24
6 Li 0.5686 0.6859 0.1809  6 O 2.03-2.17
7 Li 0.4205 0.3222 0.8114  4 O 2.01-2.24
8 Li 0.9373 0.8184 0.3092  4 O 2.00-2.24
9 Li 0.8126 0.4316 0.9408  4 O 2.00-2.24
10 Li 0.3296 0.9278 0.4388  4 O 2.01-2.24
11 Mn 0.0082 0.9936 0.0117  5 O 1.81-1.99
12 Mn 0.7416 0.2565 0.2389  5 O 1.81-1.99
13 Mn 0.4909 0.4985 0.5092  5 O 1.82-1.99
14 Mn 0.2593 0.7514 0.7401  5 O 1.82-1.99
15 Co 0.8750 0.6249 0.6248  6 O 1.93-1.95
16 Co 0.3750 0.1251 0.1251  6 O 1.94-2.06
17 O 0.3721 0.0290 0.2590  2 Mn 1.98-1.99, 1 Co 2.06, 2 Li 2.14-2.19
18 O 0.8538 0.5350 0.7549  1 Co 1.93, 2 Mn 1.99, 1 Li 2.15
19 O 0.3777 0.2212 0.9914  2 Mn 1.98-1.99, 1 Co 2.06, 2 Li 2.14-2.19
20 O 0.8963 0.7148 0.4947  1 Co 1.94, 2 Mn 1.99, 1 Li 2.15
21 O 0.7066 0.1591 0.3805  2 Co 1.94-2.06, 2 Li 2.10-2.14, 1 Mn 2.10
22 O 0.2412 0.6554 0.8699  2 Co 1.95, 1 Mn 2.05, 3 Li 2.11-2.17
23 O 0.0433 0.0911 0.8698  2 Co 1.94-2.06, 2 Li 2.10-2.14, 1 Mn 2.10
24 O 0.5088 0.5945 0.3797  2 Co 1.95, 1 Mn 2.05, 3 Li 2.11-2.17
25 O 0.1079 0.2786 0.4892  2 Mn 1.92-1.93, 2 Li 2.03-2.08
26 O 0.6274 0.7738 0.9901  2 Mn 1.93, 2 Li 2.03-2.08
27 O 0.1227 0.4760 0.2594  2 Mn 1.93, 2 Li 2.03-2.08
28 O 0.6420 0.9715 0.7613  2 Mn 1.92-1.93, 2 Li 2.03-2.08
29 O 0.4561 0.4171 0.6588  1 Mn 1.82, 2 Li 2.00
30 O 0.9756 0.9119 0.1564  1 Mn 1.81, 2 Li 2.01
31 O 0.7743 0.3381 0.0939  1 Mn 1.81, 2 Li 2.01
32 O 0.2939 0.8329 0.5910  1 Mn 1.82, 2 Li 2.00



# 6
The following is a DFT calculation (GGA+U) of a relaxed structure of Li4MnCo2O7.

Calculated values
Total moment = 21.19 μB/cell
V = 9.246 Å³/atom
Formation energy = -1741 meV per atom
Distance to the lowest polymorph of the same formula = 143.4 meV per atom

Cell lengths 2.9901, 2.9901, 34.5028 Å; angles 87.14, 87.14, 57.20 degrees
Closest atoms and distances in Å follow each position.
Sites, in units of the cell vectors:
1 Li 0.7177 0.7177 0.9272  6 O 2.08-2.22
2 Li 0.1398 0.1398 0.7872  6 O 2.08-2.22
3 Li 0.5745 0.5745 0.6411  6 O 2.13-2.19
4 Li 0.0070 0.0070 0.4983  3 O 2.01-2.09
5 Li 0.4207 0.4207 0.3587  3 O 2.01-2.08
6 Li 0.8549 0.8549 0.2152  6 O 2.13-2.28
7 Li 0.2838 0.2838 0.0724  6 O 2.12-2.24
8 Li 0.7149 0.7149 0.4285  6 O 2.09-2.23
9 Mn 0.0007 0.0007 0.0001  4 O 1.96
10 Mn 0.8565 0.8565 0.7142  4 O 1.96
11 Co 0.4286 0.4286 0.8572  6 O 2.02-2.11
12 Co 0.2886 0.2886 0.5718  5 O 1.92-2.11
13 Co 0.1405 0.1405 0.2849  5 O 1.91-2.12
14 Co 0.5713 0.5713 0.1433  6 O 1.99-2.12
15 O 0.3792 0.3792 0.9671  2 Mn 1.96, 3 Li 2.19
16 O 0.7790 0.7790 0.8242  3 Co 2.02-2.11, 3 Li 2.08-2.22
17 O 0.2352 0.2352 0.6809  2 Mn 1.96, 3 Li 2.19
18 O 0.6528 0.6528 0.5425  3 Co 1.92-2.11
19 O 0.0734 0.0734 0.3911  6 Li 2.01-2.22
20 O 0.5138 0.5138 0.2532  2 Co 1.94, 3 Li 2.14-2.16
21 O 0.9258 0.9258 0.1108  3 Co 2.00-2.12, 2 Li 2.12
22 O 0.0779 0.0779 0.8902  3 Co 2.02-2.11, 3 Li 2.08-2.22
23 O 0.4785 0.4785 0.7471  2 Mn 1.96, 1 Li 2.19
24 O 0.9152 0.9152 0.6036  2 Co 1.94, 3 Li 2.13-2.15
25 O 0.3551 0.3551 0.4659  6 Li 2.01-2.23
26 O 0.7759 0.7759 0.3143  3 Co 1.91-2.12
27 O 0.2181 0.2181 0.1755  3 Co 1.99-2.11, 2 Li 2.13
28 O 0.6207 0.6207 0.0335  2 Mn 1.96, 3 Li 2.16-2.17